GGA-PBE Sm2MgIn, relaxed; raw total energy = -3.777 eV/atom; space group = No. 225; calculated formation energy = -31.9 kJ/mol of atoms
1.0
0.000 3.836 3.836
3.836 0.000 3.836
3.836 3.836 0.000
Sm Mg In
2 1 1
direct
0.250 0.250 0.250
0.750 0.750 0.750
0.000 0.000 0.000
0.500 0.500 0.500

GGA-PBE SmMgIn, relaxed; raw total energy = -3.432 eV/atom; space group = No. 189; calculated formation energy = -39.4 kJ/mol of atoms
1.0
4.395 1.287 -1.224
0.395 4.521 6.172
2.264 -7.304 0.452
Sm Mg In
3 3 3
direct
0.000 0.432 0.000
0.000 0.568 0.568
0.000 0.000 0.432
0.500 0.242 0.242
0.500 0.000 0.758
0.500 0.758 0.000
0.500 0.667 0.333
0.000 0.000 0.000
0.500 0.333 0.667

GGA-PBE TmMgIn, relaxed; raw total energy = -3.294 eV/atom; space group = No. 189; calculated formation energy = -33.9 kJ/mol of atoms
1.0
3.728 -6.457 0.000
3.728 6.457 0.000
0.000 0.000 4.665
Tm Mg In
3 3 3
direct
0.000 0.564 0.000
0.436 0.436 0.000
0.564 0.000 0.000
0.759 0.759 0.500
0.241 0.000 0.500
0.000 0.241 0.500
0.667 0.333 0.500
0.000 0.000 0.000
0.333 0.667 0.500

GGA-PBE YMgIn, relaxed; raw total energy = -4.019 eV/atom; space group = No. 189; calculated formation energy = -39.9 kJ/mol of atoms
1.0
4.210 -1.074 -1.758
-1.789 3.522 -6.436
3.316 3.827 5.602
Y Mg In
3 3 3
direct
0.000 0.000 0.434
0.000 0.566 0.566
0.000 0.434 0.000
0.500 0.242 0.242
0.500 0.758 0.000
0.500 0.000 0.758
0.500 0.333 0.667
0.500 0.667 0.333
0.000 0.000 0.000

GGA-PBE MnIn3, relaxed; raw total energy = -4.116 eV/atom; space group = No. 139; calculated formation energy = 23.0 kJ/mol of atoms
1.0
-2.170 2.170 4.744
2.170 -2.170 4.744
2.170 2.170 -4.744
Mn In
1 3
direct
0.000 0.000 0.000
0.750 0.250 0.500
0.250 0.750 0.500
0.500 0.500 0.000

GGA-PBE Mn3In2N4, relaxed; raw total energy = -7.239 eV/atom; space group = No. 15; calculated formation energy = -2.8 kJ/mol of atoms
1.0
7.180 0.998 1.092
-4.485 5.731 0.000
0.895 0.700 5.902
Mn In N
6 4 8
direct
0.304 0.027 0.901
0.696 0.723 0.599
0.696 0.973 0.099
0.304 0.277 0.401
0.000 0.817 0.750
0.000 0.183 0.250
0.750 0.256 0.699
0.250 0.507 0.801
0.250 0.744 0.301
0.750 0.493 0.199
0.251 0.100 0.648
0.749 0.849 0.852
0.749 0.900 0.352
0.251 0.151 0.148
0.896 0.267 0.037
0.104 0.370 0.463
0.104 0.733 0.963
0.896 0.630 0.537

GGA-PBE Mn3In8N9, relaxed; raw total energy = -5.931 eV/atom; space group = No. 14; calculated formation energy = 12.8 kJ/mol of atoms
1.0
7.137 0.000 -0.401
0.000 11.415 0.000
-5.915 0.000 17.094
Mn In N
12 32 36
direct
0.500 0.115 0.777
0.500 0.615 0.723
0.500 0.885 0.223
0.500 0.385 0.277
0.804 0.877 0.575
0.196 0.377 0.925
0.196 0.123 0.425
0.804 0.623 0.075
0.852 0.282 0.592
0.148 0.782 0.908
0.148 0.718 0.408
0.852 0.218 0.092
0.429 0.959 0.066
0.571 0.459 0.434
0.571 0.041 0.934
0.429 0.541 0.566
0.528 0.113 0.607
0.472 0.613 0.893
0.472 0.887 0.393
0.528 0.387 0.107
0.748 0.873 0.734
0.252 0.373 0.766
0.252 0.127 0.266
0.748 0.627 0.234
0.739 0.361 0.747
0.261 0.861 0.753
0.261 0.639 0.253
0.739 0.139 0.247
0.704 0.350 0.919
0.296 0.850 0.581
0.296 0.650 0.081
0.704 0.150 0.419
0.062 0.107 0.830
0.938 0.607 0.670
0.938 0.893 0.170
0.062 0.393 0.330
0.046 0.070 0.603
0.954 0.570 0.897
0.954 0.930 0.397
0.046 0.430 0.103
0.133 0.348 0.520
0.867 0.848 0.980
0.867 0.652 0.480
0.133 0.152 0.020
0.663 0.288 0.629
0.337 0.788 0.871
0.337 0.712 0.371
0.663 0.212 0.129
0.529 0.270 0.793
0.471 0.770 0.707
0.471 0.730 0.207
0.529 0.230 0.293
0.790 0.189 0.990
0.210 0.689 0.510
0.210 0.811 0.010
0.790 0.311 0.490
0.581 0.932 0.577
0.419 0.432 0.923
0.419 0.068 0.423
0.581 0.568 0.077
0.673 0.059 0.741
0.327 0.559 0.759
0.327 0.941 0.259
0.673 0.441 0.241
0.088 0.326 0.642
0.912 0.826 0.858
0.912 0.674 0.358
0.088 0.174 0.142
0.047 0.310 0.825
0.953 0.810 0.675
0.953 0.690 0.175
0.047 0.190 0.325
0.208 0.150 0.525
0.792 0.650 0.975
0.792 0.850 0.475
0.208 0.350 0.025
0.260 0.055 0.735
0.740 0.555 0.765
0.740 0.945 0.265
0.260 0.445 0.235

GGA-PBE MnInNi2, relaxed; raw total energy = -5.956 eV/atom; space group = No. 225; calculated formation energy = -8.4 kJ/mol of atoms
1.0
0.000 3.025 3.025
3.025 0.000 3.025
3.025 3.025 0.000
Mn In Ni
1 1 2
direct
0.500 0.500 0.500
0.000 0.000 0.000
0.750 0.750 0.750
0.250 0.250 0.250